The following is a PBE-GGA calculation of an optimized crystal structure of Na6Ca4Ta8Si9S9O72, from Materials Project.

Values from the calculation:
E (MP2020) (eV per atom): -7.8522
Calculated volume (Å³/cell): 1619.9
Formation enthalpy at 0 K (eV/atom): -2.73

a b c (Å): 8.975 8.979 23.200
angles (deg): 89.94 89.86 60.05
Positions (direct):
Na 0.000 0.000 0.000
Na 0.006 0.013 0.507
Na 0.315 0.335 0.832
Na 0.336 0.315 0.331
Na 0.665 0.671 0.682
Na 0.674 0.668 0.168
Ca 0.326 0.334 0.701
Ca 0.335 0.326 0.199
Ca 0.661 0.664 0.524
Ca 0.669 0.668 0.021
Ta 0.009 0.989 0.660
Ta 0.011 0.989 0.863
Ta 0.325 0.335 0.979
Ta 0.339 0.323 0.484
Ta 0.658 0.669 0.320
Ta 0.663 0.680 0.826
Ta 0.985 0.012 0.154
Ta 0.988 0.017 0.361
Si 0.302 0.985 0.761
Si 0.370 0.955 0.425
Si 0.378 0.667 0.926
Si 0.665 0.377 0.426
Si 0.672 0.961 0.927
Si 0.716 0.990 0.260
Si 0.949 0.374 0.924
Si 0.988 0.298 0.259
Si 0.989 0.712 0.761
S 0.045 0.324 0.591
S 0.047 0.630 0.093
S 0.286 0.725 0.259
S 0.319 0.630 0.591
S 0.324 0.043 0.092
S 0.626 0.330 0.092
S 0.631 0.049 0.590
S 0.725 0.288 0.758
S 0.964 0.664 0.423
O 0.001 0.175 0.313
O 0.003 0.804 0.411
O 0.034 0.161 0.592
O 0.040 0.806 0.097
O 0.129 0.336 0.642
O 0.131 0.534 0.145
O 0.137 0.501 0.431
O 0.145 0.360 0.933
O 0.150 0.322 0.261
O 0.151 0.808 0.594
O 0.152 0.544 0.040
O 0.155 0.308 0.537
O 0.158 0.031 0.097
O 0.162 0.535 0.760
O 0.172 0.002 0.812
O 0.177 0.988 0.410
O 0.178 0.817 0.911
O 0.188 0.810 0.312
O 0.194 0.970 0.700
O 0.205 0.829 0.206
O 0.298 0.543 0.538
O 0.301 0.151 0.040
O 0.311 0.553 0.256
O 0.325 0.147 0.759
O 0.333 0.534 0.643
O 0.336 0.126 0.144
O 0.348 0.155 0.434
O 0.357 0.491 0.935
O 0.430 0.714 0.984
O 0.433 0.858 0.483
O 0.460 0.714 0.263
O 0.464 0.660 0.587
O 0.469 0.869 0.089
O 0.482 0.801 0.764
O 0.485 0.363 0.436
O 0.488 0.149 0.936
O 0.501 0.863 0.368
O 0.503 0.634 0.869
O 0.530 0.131 0.641
O 0.531 0.160 0.536
O 0.534 0.339 0.145
O 0.537 0.161 0.261
O 0.546 0.304 0.040
O 0.557 0.304 0.752
O 0.630 0.870 0.870
O 0.634 0.505 0.370
O 0.659 0.876 0.583
O 0.663 0.469 0.089
O 0.703 0.813 0.268
O 0.717 0.456 0.758
O 0.721 0.426 0.483
O 0.724 0.856 0.984
O 0.800 0.047 0.591
O 0.805 0.480 0.267
O 0.807 0.158 0.097
O 0.811 0.187 0.809
O 0.812 0.700 0.764
O 0.813 0.176 0.410
O 0.816 0.012 0.908
O 0.833 0.195 0.703
O 0.837 0.968 0.201
O 0.837 0.982 0.313
O 0.854 0.426 0.983
O 0.859 0.505 0.868
O 0.863 0.704 0.475
O 0.872 0.662 0.090
O 0.875 0.474 0.585
O 0.881 0.632 0.372
O 0.969 0.834 0.700
O 0.971 0.191 0.201
O 0.987 0.834 0.812
O 0.995 0.180 0.907

---

The following is a PBE-GGA calculation of an optimized crystal structure of Na3CaTa5Si6S3O36, from Materials Project.

Values from the calculation:
E (MP2020) (eV per atom): -8.2352
Calculated volume (Å³/cell): 1591.7
Formation enthalpy at 0 K (eV/atom): -2.90

a b c (Å): 8.929 8.929 23.052
angles (deg): 90.13 90.13 60.01
Positions (direct):
Na 0.000 0.000 0.000
Na 0.000 0.000 0.500
Na 0.322 0.338 0.331
Na 0.338 0.322 0.831
Na 0.648 0.691 0.663
Na 0.691 0.648 0.163
Ca 0.327 0.348 0.187
Ca 0.348 0.327 0.687
Ta 0.008 0.012 0.359
Ta 0.012 0.008 0.859
Ta 0.019 0.995 0.642
Ta 0.340 0.352 0.978
Ta 0.352 0.340 0.478
Ta 0.662 0.682 0.815
Ta 0.665 0.682 0.516
Ta 0.682 0.662 0.315
Ta 0.682 0.665 0.016
Ta 0.995 0.019 0.142
Si 0.003 0.296 0.252
Si 0.044 0.630 0.085
Si 0.296 0.003 0.752
Si 0.348 0.623 0.585
Si 0.387 0.673 0.917
Si 0.389 0.963 0.414
Si 0.623 0.348 0.085
Si 0.630 0.044 0.585
Si 0.666 0.965 0.916
Si 0.673 0.387 0.417
Si 0.963 0.389 0.914
Si 0.965 0.666 0.416
S 0.042 0.341 0.582
S 0.293 0.728 0.252
S 0.341 0.042 0.082
S 0.728 0.293 0.752
S 0.729 0.995 0.251
S 0.995 0.729 0.751
O 0.001 0.177 0.307
O 0.001 0.824 0.803
O 0.024 0.179 0.589
O 0.034 0.823 0.093
O 0.096 0.523 0.142
O 0.107 0.372 0.636
O 0.149 0.560 0.750
O 0.152 0.496 0.426
O 0.153 0.362 0.925
O 0.154 0.306 0.531
O 0.169 0.823 0.590
O 0.172 0.308 0.257
O 0.172 0.532 0.027
O 0.177 0.001 0.807
O 0.179 0.024 0.089
O 0.188 0.820 0.305
O 0.190 0.838 0.909
O 0.193 0.986 0.693
O 0.197 0.980 0.407
O 0.206 0.828 0.199
O 0.306 0.154 0.031
O 0.308 0.172 0.757
O 0.311 0.531 0.527
O 0.316 0.556 0.253
O 0.362 0.153 0.425
O 0.367 0.502 0.924
O 0.372 0.107 0.136
O 0.379 0.528 0.644
O 0.464 0.722 0.256
O 0.473 0.708 0.973
O 0.476 0.840 0.470
O 0.486 0.820 0.756
O 0.486 0.865 0.072
O 0.496 0.152 0.926
O 0.502 0.367 0.424
O 0.506 0.643 0.859
O 0.507 0.659 0.570
O 0.508 0.870 0.357
O 0.523 0.096 0.642
O 0.528 0.379 0.144
O 0.531 0.311 0.027
O 0.532 0.172 0.527
O 0.556 0.316 0.753
O 0.560 0.149 0.250
O 0.638 0.871 0.858
O 0.643 0.506 0.359
O 0.659 0.507 0.070
O 0.676 0.845 0.569
O 0.700 0.840 0.971
O 0.708 0.473 0.473
O 0.715 0.834 0.254
O 0.722 0.464 0.756
O 0.820 0.188 0.805
O 0.820 0.486 0.256
O 0.823 0.034 0.593
O 0.823 0.169 0.090
O 0.824 0.001 0.303
O 0.828 0.206 0.699
O 0.832 0.976 0.197
O 0.834 0.715 0.754
O 0.835 0.985 0.905
O 0.838 0.190 0.409
O 0.840 0.476 0.970
O 0.840 0.700 0.471
O 0.845 0.676 0.069
O 0.865 0.486 0.572
O 0.870 0.508 0.857
O 0.871 0.638 0.358
O 0.976 0.832 0.697
O 0.980 0.197 0.907
O 0.985 0.835 0.405
O 0.986 0.193 0.193

---

The following is a PBE-GGA calculation of an optimized crystal structure of Na2Ca4Ta4Si3S9O48, from Materials Project.

Values from the calculation:
E (MP2020) (eV per atom): -7.5327
Calculated volume (Å³/cell): 3324.2
Formation enthalpy at 0 K (eV/atom): -2.55

a b c (Å): 9.054 15.601 23.533
angles (deg): 90.01 90.08 90.05
Positions (direct):
Na 0.000 0.000 0.000
Na 0.000 0.335 0.664
Na 0.003 0.340 0.162
Na 0.498 0.833 0.161
Na 0.503 0.500 0.504
Na 0.505 0.830 0.667
Ca 0.000 0.000 0.145
Ca 0.000 0.001 0.852
Ca 0.004 0.326 0.518
Ca 0.009 0.342 0.016
Ca 0.497 0.828 0.017
Ca 0.498 0.844 0.517
Ca 0.502 0.502 0.352
Ca 0.503 0.163 0.192
Ca 0.504 0.174 0.693
Ca 0.504 0.505 0.649
Ca 0.989 0.662 0.696
Ca 0.998 0.672 0.192
Ta 0.000 0.001 0.358
Ta 0.000 0.338 0.316
Ta 0.003 0.339 0.820
Ta 0.003 0.674 0.479
Ta 0.011 0.665 0.974
Ta 0.489 0.163 0.476
Ta 0.497 0.172 0.976
Ta 0.499 0.835 0.321
Ta 0.501 0.831 0.811
Ta 0.506 0.506 0.857
Ta 0.511 0.502 0.146
Ta 0.990 0.002 0.648
Si 0.146 0.190 0.414
Si 0.206 0.833 0.416
Si 0.296 0.336 0.915
Si 0.358 0.691 0.915
Si 0.640 0.644 0.750
Si 0.651 0.981 0.418
Si 0.703 0.999 0.754
Si 0.795 0.497 0.252
Si 0.851 0.481 0.919
S 0.132 0.151 0.748
S 0.136 0.485 0.418
S 0.140 0.813 0.080
S 0.154 0.527 0.085
S 0.157 0.861 0.748
S 0.211 0.493 0.754
S 0.217 0.167 0.081
S 0.287 0.666 0.581
S 0.292 0.993 0.254
S 0.343 0.360 0.249
S 0.348 0.027 0.585
S 0.361 0.985 0.919
S 0.363 0.313 0.579
S 0.370 0.651 0.248
S 0.639 0.315 0.085
S 0.646 0.026 0.080
S 0.652 0.691 0.420
S 0.659 0.359 0.755
S 0.708 0.330 0.419
S 0.710 0.665 0.085
S 0.791 0.163 0.585
S 0.794 0.831 0.919
S 0.843 0.861 0.254
S 0.849 0.190 0.920
S 0.856 0.525 0.579
S 0.865 0.815 0.585
S 0.867 0.150 0.254
O 0.048 0.235 0.751
O 0.060 0.571 0.425
O 0.064 0.897 0.077
O 0.065 0.101 0.696
O 0.067 0.218 0.470
O 0.068 0.441 0.365
O 0.081 0.760 0.029
O 0.091 0.570 0.134
O 0.093 0.093 0.393
O 0.093 0.908 0.394
O 0.096 0.440 0.080
O 0.099 0.747 0.428
O 0.099 0.897 0.799
O 0.103 0.776 0.736
O 0.106 0.768 0.133
O 0.107 0.412 0.764
O 0.112 0.102 0.799
O 0.112 0.432 0.467
O 0.114 0.258 0.360
O 0.115 0.567 0.752
O 0.120 0.242 0.077
O 0.121 0.578 0.031
O 0.124 0.920 0.696
O 0.132 0.086 0.077
O 0.172 0.682 0.928
O 0.173 0.355 0.255
O 0.175 0.314 0.861
O 0.176 0.666 0.528
O 0.182 0.023 0.590
O 0.188 0.000 0.302
O 0.196 0.671 0.631
O 0.202 0.323 0.575
O 0.203 0.003 0.912
O 0.212 0.355 0.971
O 0.213 0.976 0.201
O 0.217 0.668 0.237
O 0.285 0.166 0.736
O 0.286 0.473 0.700
O 0.293 0.500 0.409
O 0.293 0.857 0.471
O 0.301 0.824 0.076
O 0.305 0.172 0.132
O 0.310 0.497 0.803
O 0.321 0.522 0.092
O 0.323 0.165 0.029
O 0.323 0.814 0.361
O 0.326 0.858 0.752
O 0.329 0.180 0.428
O 0.366 0.585 0.574
O 0.372 0.417 0.197
O 0.382 0.741 0.575
O 0.385 0.760 0.862
O 0.386 0.079 0.529
O 0.386 0.935 0.969
O 0.388 0.067 0.253
O 0.390 0.602 0.299
O 0.390 0.913 0.264
O 0.396 0.268 0.632
O 0.398 0.274 0.238
O 0.401 0.248 0.928
O 0.402 0.396 0.300
O 0.405 0.593 0.896
O 0.408 0.408 0.892
O 0.408 0.941 0.579
O 0.411 0.071 0.633
O 0.421 0.259 0.529
O 0.428 0.947 0.867
O 0.431 0.719 0.972
O 0.437 0.074 0.928
O 0.437 0.602 0.197
O 0.438 0.396 0.575
O 0.453 0.736 0.253
O 0.557 0.402 0.093
O 0.557 0.621 0.692
O 0.562 0.742 0.768
O 0.565 0.929 0.363
O 0.571 0.076 0.430
O 0.576 0.273 0.032
O 0.580 0.940 0.076
O 0.583 0.582 0.802
O 0.588 0.729 0.469
O 0.592 0.275 0.753
O 0.595 0.065 0.133
O 0.595 0.072 0.736
O 0.596 0.604 0.411
O 0.597 0.407 0.803
O 0.598 0.081 0.030
O 0.603 0.400 0.410
O 0.606 0.264 0.135
O 0.606 0.736 0.081
O 0.607 0.908 0.761
O 0.611 0.582 0.094
O 0.622 0.746 0.367
O 0.623 0.247 0.426
O 0.650 0.407 0.702
O 0.650 0.925 0.472
O 0.670 0.483 0.193
O 0.678 0.848 0.266
O 0.681 0.185 0.928
O 0.683 0.500 0.899
O 0.693 0.522 0.575
O 0.695 0.504 0.306
O 0.698 0.818 0.867
O 0.700 0.150 0.532
O 0.702 0.174 0.635
O 0.707 0.160 0.252
O 0.707 0.846 0.969
O 0.708 0.830 0.578
O 0.796 0.331 0.080
O 0.797 0.347 0.469
O 0.798 0.675 0.136
O 0.799 0.650 0.033
O 0.808 0.008 0.806
O 0.809 0.022 0.078
O 0.810 0.320 0.367
O 0.812 0.659 0.754
O 0.818 0.002 0.394
O 0.819 0.687 0.426
O 0.825 0.346 0.767
O 0.829 0.983 0.693
O 0.854 0.910 0.201
O 0.860 0.426 0.974
O 0.875 0.245 0.867
O 0.882 0.748 0.929
O 0.888 0.082 0.594
O 0.893 0.404 0.261
O 0.894 0.235 0.580
O 0.899 0.763 0.634
O 0.902 0.900 0.911
O 0.903 0.103 0.912
O 0.905 0.582 0.528
O 0.906 0.911 0.302
O 0.908 0.092 0.302
O 0.908 0.568 0.236
O 0.909 0.565 0.631
O 0.911 0.228 0.970
O 0.913 0.777 0.253
O 0.923 0.440 0.573
O 0.926 0.772 0.530
O 0.933 0.575 0.931
O 0.934 0.121 0.201
O 0.934 0.238 0.267
O 0.936 0.430 0.864
O 0.946 0.901 0.591

---

Question: Which of these has the lowest calculated volume?
Answer: Na3CaTa5Si6S3O36